Record 1
# Fe2Te2Ru2C11O11 | the Materials Project | PBE with a Hubbard U | relaxed
# VASP energy, eV/atom: -7.320
# Calculated formation energy, eV per atom: -0.689
data_Fe2Te2Ru2C11O11
_chemical_formula_sum 'Fe8 Te8 Ru8 C44 O44'
_symmetry_space_group_name_H-M 'P c c n'
_symmetry_Int_Tables_number 56
_cell_length_a 6.8969
_cell_length_b 16.1756
_cell_length_c 17.8772
_cell_angle_alpha 90.00
_cell_angle_beta 90.00
_cell_angle_gamma 90.00
loop_
_symmetry_equiv_pos_as_xyz
'x,y,z'
'-x,-y,-z'
'-x+1/2,-y+1/2,z'
'x+1/2,y+1/2,-z'
'x+1/2,-y,-z+1/2'
'-x+1/2,y,z+1/2'
'-x,y+1/2,-z+1/2'
'x,-y+1/2,z+1/2'
loop_
_atom_site_label
_atom_site_fract_x
_atom_site_fract_y
_atom_site_fract_z
Fe1 0.1681 0.1664 0.1925
Te1 0.0099 0.2071 0.7596
Ru1 0.1701 0.1687 0.3479
C1 0.0251 0.6695 0.3733
C2 0.0659 0.6411 0.1058
C3 0.0863 0.0762 0.2420
C4 0.1849 0.1147 0.6252
C5 0.2092 0.0790 0.8966
C6 0.2500 0.2500 0.4326
O1 0.0254 0.0090 0.2506
O2 0.0946 0.0801 0.5804
O3 0.1349 0.0240 0.9271
O4 0.1507 0.6693 0.4163
O5 0.2117 0.6242 0.0768
O6 0.2500 0.2500 0.4990

=====

Record 2
# Fe2C8SO10 | the Materials Project | PBE with a Hubbard U | relaxed
# VASP energy, eV/atom: -7.079
# Calculated formation energy, eV per atom: -0.745
data_Fe2C8SO10
_chemical_formula_sum 'Fe8 C32 S4 O40'
_symmetry_space_group_name_H-M 'P 1 21/c 1'
_symmetry_Int_Tables_number 14
_cell_length_a 8.8329
_cell_length_b 13.2913
_cell_length_c 12.8813
_cell_angle_alpha 90.00
_cell_angle_beta 113.64
_cell_angle_gamma 90.00
loop_
_symmetry_equiv_pos_as_xyz
'x,y,z'
'-x,-y,-z'
'-x,y+1/2,-z+1/2'
'x,-y+1/2,z+1/2'
loop_
_atom_site_label
_atom_site_fract_x
_atom_site_fract_y
_atom_site_fract_z
Fe1 0.0725 0.1511 0.3368
Fe2 0.3435 0.2213 0.9111
C1 0.0452 0.7353 0.1111
C2 0.1206 0.6072 0.2651
C3 0.1425 0.0746 0.4653
C4 0.1732 0.0622 0.2770
C5 0.2273 0.1319 0.9593
C6 0.4510 0.2298 0.5543
C7 0.4561 0.1905 0.3596
C8 0.4626 0.1200 0.8917
S1 0.1282 0.2224 0.7403
O1 0.0167 0.1347 0.7156
O2 0.1342 0.7174 0.5856
O3 0.1597 0.0714 0.9884
O4 0.1714 0.2453 0.1459
O5 0.1933 0.0251 0.5458
O6 0.2287 0.0032 0.2370
O7 0.2466 0.5802 0.3320
O8 0.4601 0.5542 0.6202
O9 0.4664 0.6378 0.1711
O10 0.4764 0.6975 0.8559

=====

Record 3
# Fe3C9S2O9 | the Materials Project | PBE with a Hubbard U | relaxed
# VASP energy, eV/atom: -6.976
# Calculated formation energy, eV per atom: -0.571
data_Fe3C9S2O9
_chemical_formula_sum 'Fe6 C18 S4 O18'
_symmetry_space_group_name_H-M 'P -1'
_symmetry_Int_Tables_number 2
_cell_length_a 6.8862
_cell_length_b 9.2109
_cell_length_c 13.1812
_cell_angle_alpha 93.99
_cell_angle_beta 94.13
_cell_angle_gamma 111.18
loop_
_symmetry_equiv_pos_as_xyz
'x,y,z'
'-x,-y,-z'
loop_
_atom_site_label
_atom_site_fract_x
_atom_site_fract_y
_atom_site_fract_z
Fe1 0.0823 0.2372 0.3399
Fe2 0.2138 0.3027 0.1604
Fe3 0.3688 0.5851 0.2581
C1 0.0046 0.8731 0.8803
C2 0.0947 0.3244 0.4659
C3 0.1469 0.0698 0.3735
C4 0.1980 0.8780 0.6763
C5 0.2181 0.4107 0.0533
C6 0.2965 0.7229 0.1843
C7 0.3566 0.3278 0.7643
C8 0.3932 0.6882 0.3804
C9 0.4072 0.2262 0.1191
S1 0.0274 0.4225 0.2494
S2 0.4167 0.3735 0.3136
O1 0.1094 0.3839 0.5479
O2 0.1446 0.9868 0.9121
O3 0.1816 0.2683 0.7757
O4 0.1834 0.9630 0.3970
O5 0.2160 0.4744 0.9803
O6 0.2511 0.8140 0.1427
O7 0.3758 0.9508 0.6856
O8 0.4130 0.7501 0.4621
O9 0.4692 0.8215 0.9080

=====

Record 4
# Fe3C9SeSO9 | the Materials Project | PBE with a Hubbard U | relaxed
# VASP energy, eV/atom: -6.921
# Calculated formation energy, eV per atom: -0.522
data_Fe3C9SeSO9
_chemical_formula_sum 'Fe6 C18 Se2 S2 O18'
_symmetry_space_group_name_H-M 'P -1'
_symmetry_Int_Tables_number 2
_cell_length_a 7.3722
_cell_length_b 9.6718
_cell_length_c 14.5726
_cell_angle_alpha 84.75
_cell_angle_beta 82.56
_cell_angle_gamma 68.52
loop_
_symmetry_equiv_pos_as_xyz
'x,y,z'
'-x,-y,-z'
loop_
_atom_site_label
_atom_site_fract_x
_atom_site_fract_y
_atom_site_fract_z
Fe1 0.0759 0.2028 0.1559
Fe2 0.1570 0.2633 0.3490
Fe3 0.2293 0.9095 0.2625
C1 0.0385 0.8234 0.2360
C2 0.0668 0.5787 0.6258
C3 0.1338 0.3865 0.1151
C4 0.1872 0.0780 0.0467
C5 0.2054 0.7086 0.8939
C6 0.2180 0.1856 0.4704
C7 0.2978 0.7979 0.3891
C8 0.3079 0.3777 0.3290
C9 0.4330 0.7754 0.1825
Se1 0.4139 0.0764 0.2527
S1 0.0274 0.8690 0.6955
O1 0.0727 0.2278 0.7782
O2 0.1676 0.4920 0.0899
O3 0.2110 0.4773 0.6120
O4 0.2608 0.0140 0.9805
O5 0.2642 0.1256 0.5408
O6 0.3355 0.7590 0.4631
O7 0.3664 0.6742 0.9070
O8 0.4046 0.4506 0.3130
O9 0.4431 0.3032 0.8658

=====

Record 5
# Fe3WC14S2O14 | the Materials Project | PBE with a Hubbard U | relaxed
# VASP energy, eV/atom: -7.205
# Calculated formation energy, eV per atom: -0.638
data_Fe3WC14S2O14
_chemical_formula_sum 'Fe12 W4 C56 S8 O56'
_symmetry_space_group_name_H-M 'C 1 2/m 1'
_symmetry_Int_Tables_number 12
_cell_length_a 17.9646
_cell_length_b 14.8493
_cell_length_c 9.0439
_cell_angle_alpha 90.00
_cell_angle_beta 97.62
_cell_angle_gamma 90.00
loop_
_symmetry_equiv_pos_as_xyz
'x,y,z'
'-x,-y,-z'
'-x,y,-z'
'x,-y,z'
'x+1/2,y+1/2,z'
'-x+1/2,-y+1/2,-z'
'-x+1/2,y+1/2,-z'
'x+1/2,-y+1/2,z'
loop_
_atom_site_label
_atom_site_fract_x
_atom_site_fract_y
_atom_site_fract_z
Fe1 0.1445 0.1153 0.2121
Fe2 0.1475 0.0000 0.4369
W1 0.1342 0.5000 0.7520
C1 0.0233 0.5000 0.7761
C2 0.0665 0.1951 0.2063
C3 0.1057 0.0936 0.5184
C4 0.1144 0.4043 0.5844
C5 0.1480 0.4015 0.9148
C6 0.1506 0.1200 0.0172
C7 0.2114 0.2036 0.2772
C8 0.2275 0.0000 0.5809
S1 0.0628 0.0000 0.2219
S2 0.2250 0.0000 0.2580
O1 0.0164 0.2443 0.1937
O2 0.0400 0.5000 0.2061
O3 0.0789 0.1517 0.5790
O4 0.1004 0.3533 0.4870
O5 0.1526 0.3460 0.0067
O6 0.1554 0.1198 0.8910
O7 0.2224 0.5000 0.3245
O8 0.2485 0.2388 0.6789

=====

Record 6
# FeC3SeO3 | the Materials Project | PBE with a Hubbard U | relaxed
# VASP energy, eV/atom: -6.765
# Calculated formation energy, eV per atom: -0.493
data_FeC3SeO3
_chemical_formula_sum 'Fe4 C12 Se4 O12'
_symmetry_space_group_name_H-M 'P -1'
_symmetry_Int_Tables_number 2
_cell_length_a 6.6536
_cell_length_b 7.7610
_cell_length_c 11.9014
_cell_angle_alpha 84.13
_cell_angle_beta 75.02
_cell_angle_gamma 77.45
loop_
_symmetry_equiv_pos_as_xyz
'x,y,z'
'-x,-y,-z'
loop_
_atom_site_label
_atom_site_fract_x
_atom_site_fract_y
_atom_site_fract_z
Fe1 0.1340 0.0066 0.2275
Fe2 0.2924 0.6749 0.2693
C1 0.0490 0.5999 0.3308
C2 0.0979 0.2103 0.1436
C3 0.1353 0.0134 0.7094
C4 0.1642 0.0942 0.3541
C5 0.3456 0.7016 0.4067
C6 0.4629 0.4656 0.2348
Se1 0.2271 0.7872 0.0834
Se2 0.4943 0.8722 0.1470
O1 0.0713 0.3455 0.0923
O2 0.1070 0.4520 0.6317
O3 0.1805 0.1556 0.4352
O4 0.3093 0.0283 0.6683
O5 0.3781 0.7185 0.4954
O6 0.4290 0.6713 0.7874